(1)
First-principles (PBE-GGA) data for a geometry-optimized Na14Mg4Si7Ge4S5O48 structure, as listed in the Materials Project database.

Symmetry: P1, No. 1
Total magnetic moment, μB/f.u.: 0.000
Energy relative to the elements, eV/atom: -2.441

Lattice parameters (Å, degrees): 17.820 8.910 21.929 90.07 88.96 120.01
Element x y z (fractional)
O: 0.997 0.172 0.591
O: 0.580 0.979 0.188
O: 0.082 0.191 0.413
O: 0.083 0.520 0.578
O: 0.909 0.015 0.083
O: 0.517 0.827 0.699
O: 0.759 0.695 0.980
O: 0.907 0.047 0.811
O: 0.753 0.836 0.752
O: 0.495 0.822 0.091
O: 0.713 0.155 0.525
O: 0.595 0.180 0.088
O: 0.096 0.013 0.589
O: 0.410 0.805 0.584
O: 0.257 0.642 0.864
O: 0.066 0.638 0.360
O: 0.079 0.694 0.472
O: 0.159 0.852 0.974
O: 0.605 0.045 0.309
O: 0.435 0.515 0.425
O: 0.843 0.185 0.741
O: 0.586 0.505 0.571
O: 0.510 0.198 0.195
O: 0.820 0.119 0.136
O: 0.355 0.141 0.017
O: 0.513 0.206 0.915
O: 0.645 0.828 0.977
O: 0.088 0.970 0.916
O: 0.845 0.518 0.244
O: 0.677 0.847 0.855
O: 0.654 0.458 0.473
O: 0.154 0.811 0.259
O: 0.397 0.819 0.914
O: 0.921 0.533 0.746
O: 0.319 0.144 0.421
O: 0.249 0.871 0.360
O: 0.748 0.322 0.739
O: 0.083 0.667 0.075
O: 0.179 0.508 0.354
O: 0.488 0.783 0.809
O: 0.077 0.468 0.252
O: 0.019 0.824 0.414
O: 0.256 0.375 0.418
O: 0.405 0.967 0.417
O: 0.560 0.636 0.361
O: 0.517 0.827 0.415
O: 0.923 0.552 0.022
O: 0.347 0.171 0.745
O: 0.422 0.293 0.523
O: 0.342 0.502 0.240
O: 0.237 0.112 0.637
O: 0.905 0.971 0.417
O: 0.617 0.188 0.811
O: 0.018 0.210 0.917
O: 0.106 0.168 0.812
O: 0.894 0.971 0.689
O: 0.905 0.844 0.917
O: 0.924 0.297 0.524
O: 0.722 0.305 0.026
O: 0.259 0.825 0.481
O: 0.990 0.192 0.307
O: 0.391 0.814 0.188
O: 0.753 0.653 0.582
O: 0.578 0.690 0.471
O: 0.252 0.646 0.582
O: 0.736 0.362 0.136
O: 0.993 0.826 0.088
O: 0.321 0.524 0.638
O: 0.563 0.486 0.861
O: 0.672 0.478 0.361
O: 0.083 0.471 0.973
O: 0.215 0.278 0.022
O: 0.447 0.376 0.644
O: 0.425 0.016 0.094
O: 0.084 0.153 0.098
O: 0.494 0.164 0.588
O: 0.408 0.771 0.310
O: 0.926 0.833 0.594
O: 0.760 0.688 0.249
O: 0.247 0.175 0.239
O: 0.751 0.858 0.080
O: 0.065 0.488 0.863
O: 0.752 0.877 0.358
O: 0.261 0.828 0.751
O: 0.582 0.013 0.601
O: 0.644 0.819 0.248
O: 0.818 0.492 0.639
O: 0.675 0.846 0.581
O: 0.246 0.131 0.918
O: 0.576 0.462 0.972
O: 0.938 0.510 0.421
O: 0.223 0.141 0.528
O: 0.247 0.373 0.141
O: 0.905 0.846 0.188
O: 0.587 0.201 0.415
O: 0.742 0.164 0.239
O: 0.177 0.858 0.578
O: 0.577 0.685 0.754
O: 0.253 0.671 0.253
O: 0.575 0.457 0.253
O: 0.654 0.498 0.759
O: 0.938 0.361 0.926
O: 0.433 0.500 0.143
O: 0.435 0.365 0.921
O: 0.114 0.047 0.310
O: 0.578 0.969 0.914
O: 0.091 0.951 0.191
O: 0.986 0.783 0.808
O: 0.252 0.845 0.078
O: 0.936 0.368 0.646
O: 0.314 0.139 0.137
O: 0.080 0.181 0.690
O: 0.019 0.206 0.196
O: 0.318 0.505 0.921
O: 0.147 0.463 0.477
O: 0.413 0.028 0.813
O: 0.407 0.966 0.690
O: 0.819 0.494 0.920
O: 0.746 0.364 0.418
O: 0.146 0.470 0.751
O: 0.943 0.516 0.144
O: 0.483 0.184 0.307
O: 0.424 0.554 0.022
O: 0.177 0.868 0.862
O: 0.269 0.689 0.975
O: 0.916 0.797 0.309
O: 0.746 0.119 0.643
O: 0.177 0.507 0.077
O: 0.821 0.154 0.422
O: 0.012 0.823 0.697
O: 0.748 0.628 0.860
O: 0.921 0.299 0.243
O: 0.340 0.542 0.527
O: 0.582 0.646 0.077
O: 0.754 0.137 0.918
O: 0.762 0.829 0.479
O: 0.420 0.308 0.244
O: 0.839 0.136 0.025
O: 0.677 0.498 0.077
O: 0.077 0.694 0.754
O: 0.420 0.539 0.746
O: 0.855 0.560 0.519
O: 0.590 0.231 0.693
O: 0.242 0.318 0.740
S: 0.666 0.377 0.416
S: 0.183 0.032 0.583
S: 0.334 0.629 0.582
S: 0.168 0.955 0.917
S: 0.500 0.711 0.751
S: 0.997 0.709 0.751
S: 0.524 0.667 0.418
S: 0.522 0.381 0.916
S: 0.001 0.288 0.250
S: 0.310 0.663 0.917
S: 0.496 0.283 0.250
S: 0.024 0.665 0.416
S: 0.026 0.384 0.919
S: 0.833 0.039 0.081
S: 0.683 0.335 0.082
Si: 0.644 0.003 0.249
Si: 0.842 0.632 0.583
Si: 0.665 0.952 0.914
Si: 0.856 0.709 0.251
Si: 0.311 0.956 0.420
Si: 0.982 0.345 0.583
Si: 0.144 0.284 0.750
Si: 0.679 0.034 0.585
Si: 0.166 0.380 0.414
Si: 0.811 0.962 0.416
Si: 0.342 0.049 0.082
Si: 0.811 0.667 0.920
Si: 0.655 0.311 0.752
Si: 0.357 0.001 0.752
Si: 0.352 0.695 0.251
Si: 0.180 0.323 0.084
Si: 0.483 0.345 0.581
Si: 0.153 0.999 0.253
Si: 0.852 0.010 0.750
Si: 0.481 0.621 0.082
Si: 0.980 0.623 0.082
Na: 0.484 0.672 0.923
Na: 0.166 0.669 0.170
Na: 0.502 0.006 0.003
Na: 0.498 0.636 0.251
Na: 0.166 0.289 0.914
Na: 0.975 0.277 0.423
Na: 0.181 0.355 0.255
Na: 0.671 0.289 0.910
Na: 0.170 0.054 0.409
Na: 0.338 0.982 0.580
Na: 0.189 0.010 0.749
Na: 0.666 0.663 0.666
Na: 0.664 0.663 0.171
Na: 0.689 0.368 0.254
Na: 0.998 0.001 0.003
Na: 0.353 0.668 0.412
Na: 0.150 0.331 0.584
Na: 0.995 0.996 0.498
Na: 0.672 0.038 0.412
Na: 0.650 0.969 0.089
Na: 0.164 0.665 0.669
Na: 0.354 0.040 0.916
Na: 0.996 0.636 0.247
Na: 0.837 0.696 0.085
Na: 0.974 0.666 0.921
Na: 0.998 0.360 0.747
Na: 0.328 0.322 0.824
Na: 0.660 0.339 0.579
Na: 0.826 0.337 0.831
Na: 0.327 0.317 0.333
Na: 0.498 0.360 0.743
Na: 0.851 0.675 0.418
Na: 0.158 0.978 0.084
Na: 0.836 0.980 0.580
Na: 0.682 0.008 0.751
Na: 0.808 0.990 0.255
Na: 0.502 0.997 0.501
Na: 0.336 0.689 0.087
Na: 0.310 0.627 0.743
Na: 0.851 0.036 0.912
Na: 0.826 0.320 0.331
Na: 0.476 0.286 0.422
Mg: 0.671 0.683 0.311
Mg: 0.333 0.329 0.480
Mg: 0.333 0.328 0.993
Mg: 0.830 0.325 0.488
Mg: 0.495 0.988 0.349
Mg: 0.168 0.663 0.808
Mg: 0.508 0.009 0.848
Mg: 0.001 0.002 0.353
Mg: 0.832 0.339 0.981
Mg: 0.338 0.331 0.683
Mg: 0.837 0.341 0.185
Mg: 0.993 0.998 0.847
Ge: 0.662 0.672 0.016
Ge: 0.168 0.666 0.032
Ge: 0.990 0.009 0.649
Ge: 0.827 0.322 0.679
Ge: 0.160 0.651 0.514
Ge: 0.187 0.694 0.313
Ge: 0.327 0.331 0.180
Ge: 0.677 0.682 0.529
Ge: 0.489 0.972 0.151
Ge: 0.688 0.682 0.812
Ge: 0.510 0.048 0.650
Ge: 0.010 0.977 0.152

***

(2)
First-principles (PBE-GGA) data for a geometry-optimized Na8Mg3Si3GeS3O24 structure, as listed in the Materials Project database.

Symmetry: P1, No. 1
Total magnetic moment, μB/f.u.: 0.000
Energy relative to the elements, eV/atom: -2.455

Lattice parameters (Å, degrees): 9.050 9.075 21.992 90.24 88.86 120.41
Element x y z (fractional)
O: 0.161 0.458 0.976
O: 0.987 0.190 0.303
O: 0.974 0.178 0.589
O: 0.158 0.465 0.250
O: 0.646 0.165 0.428
O: 0.983 0.787 0.808
O: 0.011 0.829 0.412
O: 0.638 0.120 0.139
O: 0.487 0.119 0.644
O: 0.825 0.030 0.089
O: 0.688 0.532 0.248
O: 0.016 0.205 0.193
O: 0.370 0.513 0.077
O: 0.773 0.951 0.693
O: 0.214 0.024 0.304
O: 0.786 0.809 0.194
O: 0.644 0.513 0.646
O: 0.170 0.987 0.911
O: 0.132 0.484 0.575
O: 0.474 0.154 0.244
O: 0.512 0.638 0.862
O: 0.474 0.298 0.023
O: 0.521 0.165 0.924
O: 0.307 0.469 0.756
O: 0.306 0.449 0.469
O: 0.030 0.811 0.697
O: 0.833 0.810 0.582
O: 0.359 0.480 0.359
O: 0.493 0.360 0.417
O: 0.140 0.514 0.856
O: 0.695 0.522 0.524
O: 0.830 0.483 0.426
O: 0.486 0.627 0.578
O: 0.850 0.302 0.529
O: 0.810 0.017 0.813
O: 0.517 0.871 0.077
O: 0.343 0.849 0.579
O: 0.808 0.792 0.304
O: 0.963 0.807 0.084
O: 0.494 0.805 0.761
O: 0.852 0.531 0.748
O: 0.310 0.843 0.252
O: 0.164 0.691 0.755
O: 0.702 0.153 0.028
O: 0.150 0.685 0.475
O: 0.832 0.012 0.410
O: 0.882 0.362 0.639
O: 0.192 0.214 0.697
O: 0.096 0.611 0.355
O: 0.528 0.683 0.255
O: 0.185 0.168 0.084
O: 0.876 0.505 0.145
O: 0.798 0.812 0.909
O: 0.551 0.842 0.474
O: 0.482 0.360 0.145
O: 0.633 0.505 0.918
O: 0.677 0.164 0.750
O: 0.848 0.366 0.923
O: 0.194 0.982 0.194
O: 0.314 0.853 0.979
O: 0.381 0.889 0.859
O: 0.547 0.692 0.971
O: 0.471 0.323 0.748
O: 0.472 0.171 0.524
O: 0.151 0.654 0.080
O: 0.519 0.903 0.356
O: 0.842 0.305 0.248
O: 0.184 0.198 0.407
O: 0.010 0.187 0.910
O: 0.212 0.191 0.806
O: 0.828 0.524 0.023
O: 0.186 0.034 0.587
Na: 0.316 0.290 0.923
Na: 0.354 0.683 0.659
Na: 0.042 0.717 0.573
Na: 0.368 0.367 0.244
Na: 0.055 0.349 0.079
Na: 0.283 0.958 0.075
Na: 0.652 0.944 0.583
Na: 0.708 0.042 0.908
Na: 0.380 0.010 0.740
Na: 0.319 0.653 0.159
Na: 0.677 0.332 0.341
Na: 0.313 0.331 0.583
Na: 0.329 0.009 0.425
Na: 0.639 0.646 0.735
Na: 0.968 0.307 0.416
Na: 0.983 0.676 0.922
Na: 0.019 0.009 0.000
Na: 0.992 0.981 0.500
Na: 0.667 0.319 0.832
Na: 0.707 0.686 0.429
Na: 0.666 0.686 0.084
Na: 0.631 0.996 0.259
Na: 0.988 0.350 0.752
Na: 0.000 0.625 0.252
Ge: 0.336 0.693 0.823
Ge: 0.668 0.331 0.984
Ge: 0.669 0.332 0.485
Si: 0.700 0.996 0.754
Si: 0.377 0.337 0.084
Si: 0.662 0.619 0.584
Si: 0.958 0.623 0.085
Si: 0.042 0.377 0.919
Si: 0.339 0.971 0.922
Si: 0.372 0.041 0.585
Si: 0.636 0.974 0.417
Si: 0.029 0.658 0.418
S: 0.623 0.665 0.916
S: 0.294 0.297 0.751
S: 0.295 0.000 0.249
S: 0.668 0.043 0.084
S: 0.959 0.333 0.584
S: 0.001 0.291 0.249
S: 0.334 0.374 0.414
S: 0.004 0.707 0.752
S: 0.704 0.706 0.250
Mg: 0.330 0.681 0.330
Mg: 0.999 0.009 0.852
Mg: 0.663 0.338 0.179
Mg: 0.322 0.662 0.019
Mg: 0.659 0.324 0.681
Mg: 0.009 0.998 0.143
Mg: 0.981 0.982 0.644
Mg: 0.997 0.993 0.356
Mg: 0.342 0.683 0.517